KScW2O8: optimized geometry, GGA+U.

Properties
ΔH_f (0 K) = -2.582 eV/atom
Density = 4.1 g/cm3

Unit cell a=5.9334 b=5.9334 c=7.7639 alpha=90.00 beta=90.00 gamma=120.00
Last column: nearest neighbours and their distance in Å.
Positions (direct):
1 K 0.0000 0.0000 0.0000  12 O 3.13-3.44
2 Sc 0.0000 0.0000 0.5000  6 O 2.10
3 W 0.3333 0.6667 0.2657  4 O 1.78-1.83
4 W 0.6667 0.3333 0.7343  4 O 1.78-1.83
5 O 0.1644 0.3288 0.3391  1 W 1.83
6 O 0.1644 0.8356 0.3391  1 W 1.83
7 O 0.3288 0.1644 0.6609  1 W 1.83
8 O 0.3333 0.6667 0.0366  1 W 1.78
9 O 0.6667 0.3333 0.9634  1 W 1.78
10 O 0.6712 0.8356 0.3391  1 W 1.83
11 O 0.8356 0.1644 0.6609  1 W 1.83
12 O 0.8356 0.6712 0.6609  1 W 1.83

---

Li9Mn2Co5O16: optimized geometry, GGA+U.

Properties
ΔH_f (0 K) = -1.821 eV/atom
E above lowest polymorph = 0.996 kcal/mol of atoms
Density = 4.2 g/cm3

Unit cell a=5.8577 b=5.8577 c=10.2968 alpha=106.71 beta=106.71 gamma=59.80
Last column: nearest neighbours and their distance in Å.
Positions (direct):
1 Li 0.0000 0.0000 0.0000  6 O 2.07-2.09
2 Li 0.2404 0.2404 0.2350  6 O 2.11-2.32
3 Li 0.2445 0.7534 0.7578  6 O 2.07-2.23
4 Li 0.2466 0.7555 0.2422  6 O 2.07-2.23
5 Li 0.2531 0.2531 0.7576  6 O 2.04-2.17
6 Li 0.7469 0.7469 0.2424  6 O 2.04-2.17
7 Li 0.7534 0.2445 0.7578  6 O 2.07-2.23
8 Li 0.7555 0.2466 0.2422  6 O 2.07-2.23
9 Li 0.7596 0.7596 0.7650  6 O 2.11-2.32
10 Mn 0.0000 0.0000 0.5000  6 O 1.95-1.96
11 Mn 0.5000 0.5000 0.0000  6 O 1.95-1.97
12 Co 0.0000 0.5000 0.0000  6 O 1.94-2.07
13 Co 0.0000 0.5000 0.5000  6 O 1.98-2.07
14 Co 0.5000 0.0000 0.0000  6 O 1.94-2.07
15 Co 0.5000 0.0000 0.5000  6 O 1.98-2.07
16 Co 0.5000 0.5000 0.5000  6 O 2.05-2.07
17 O 0.1191 0.1191 0.3841  1 Mn 1.96, 2 Co 2.07, 2 Li 2.11
18 O 0.1212 0.6441 0.3872  1 Mn 1.95, 2 Co 2.05, 1 Li 2.17
19 O 0.1414 0.1414 0.8918  2 Co 1.94, 4 Li 2.06-2.17
20 O 0.1445 0.6148 0.8865  1 Mn 1.95, 1 Co 2.03, 4 Li 2.04-2.11
21 O 0.3559 0.8788 0.6128  1 Mn 1.95, 2 Co 2.05, 1 Li 2.17
22 O 0.3638 0.3638 0.6116  3 Co 1.98-2.07, 1 Li 2.16
23 O 0.3812 0.3812 0.1174  1 Mn 1.97, 2 Co 2.07, 3 Li 2.07-2.16
24 O 0.3852 0.8555 0.1135  1 Mn 1.95, 1 Co 2.03, 4 Li 2.04-2.11
25 O 0.6148 0.1445 0.8865  1 Mn 1.95, 1 Co 2.03, 4 Li 2.04-2.11
26 O 0.6188 0.6188 0.8826  1 Mn 1.97, 2 Co 2.07, 3 Li 2.07-2.16
27 O 0.6362 0.6362 0.3884  3 Co 1.98-2.07, 1 Li 2.16
28 O 0.6441 0.1212 0.3872  1 Mn 1.95, 2 Co 2.05, 1 Li 2.17
29 O 0.8555 0.3852 0.1135  1 Mn 1.95, 1 Co 2.03, 4 Li 2.04-2.11
30 O 0.8586 0.8586 0.1082  2 Co 1.94, 4 Li 2.06-2.17
31 O 0.8788 0.3559 0.6128  1 Mn 1.95, 2 Co 2.05, 1 Li 2.17
32 O 0.8809 0.8809 0.6159  1 Mn 1.96, 2 Co 2.07, 2 Li 2.11

---

Li2MnSnO4: optimized geometry, GGA+U.

Properties
ΔH_f (0 K) = -2.123 eV/atom
E above lowest polymorph = 0.371 kcal/mol of atoms
Density = 4.8 g/cm3

Unit cell a=6.2232 b=6.2232 c=6.2769 alpha=119.69 beta=119.69 gamma=89.89
Last column: nearest neighbours and their distance in Å.
Positions (direct):
1 Li 0.0000 0.0000 0.0000  6 O 2.17-2.28
2 Li 0.0000 0.0000 0.5000  6 O 2.17-2.28
3 Li 0.0000 0.5000 0.0000  6 O 2.25-2.33
4 Li 0.5000 0.0000 0.5000  6 O 2.25-2.33
5 Mn 0.5000 0.5000 0.0000  6 O 2.20-2.23
6 Mn 0.5000 0.5000 0.5000  6 O 2.20-2.23
7 Sn 0.0000 0.5000 0.5000  6 O 2.07-2.15
8 Sn 0.5000 0.0000 0.0000  6 O 2.07-2.15
9 O 0.2395 0.2692 0.5073  1 Sn 2.07, 2 Mn 2.20-2.21, 2 Li 2.21-2.28
10 O 0.2424 0.7486 0.9795  2 Sn 2.15, 3 Li 2.17-2.33, 1 Mn 2.23
11 O 0.2514 0.7576 0.5205  2 Sn 2.15, 3 Li 2.17-2.33, 1 Mn 2.23
12 O 0.2692 0.2395 0.0073  1 Sn 2.07, 2 Mn 2.20-2.21, 2 Li 2.21-2.28
13 O 0.7308 0.7605 0.9927  1 Sn 2.07, 2 Mn 2.20-2.21, 2 Li 2.21-2.28
14 O 0.7486 0.2424 0.4795  2 Sn 2.15, 3 Li 2.17-2.33, 1 Mn 2.23
15 O 0.7576 0.2514 0.0205  2 Sn 2.15, 3 Li 2.17-2.33, 1 Mn 2.23
16 O 0.7605 0.7308 0.4927  1 Sn 2.07, 2 Mn 2.20-2.21, 2 Li 2.21-2.28

---

K2VPCO7: optimized geometry, GGA+U.

Properties
ΔH_f (0 K) = -2.363 eV/atom
E above lowest polymorph = 1.696 kcal/mol of atoms
Density = 2.5 g/cm3

Unit cell a=6.7615 b=9.7955 c=11.2636 alpha=90.54 beta=90.39 gamma=90.05
Last column: nearest neighbours and their distance in Å.
Positions (direct):
1 K 0.0000 0.0000 0.0000  4 O 2.53-2.82
2 K 0.0014 0.0013 0.4996  4 O 2.54-2.81
3 K 0.4540 0.0033 0.9944  4 O 2.57-2.80
4 K 0.4559 0.0027 0.4948  4 O 2.57-2.83
5 K 0.4961 0.5329 0.7458  4 O 2.56-2.81
6 K 0.5044 0.5274 0.2446  4 O 2.54-2.81
7 K 0.9506 0.5287 0.7421  4 O 2.55-2.82
8 K 0.9587 0.5343 0.2434  4 O 2.56-2.81
9 V 0.2266 0.4057 0.5087  6 O 2.04-2.12
10 V 0.2292 0.4057 0.0092  6 O 2.04-2.12
11 V 0.7238 0.1269 0.2319  6 O 2.04-2.11
12 V 0.7269 0.1271 0.7326  6 O 2.04-2.12
13 P 0.2233 0.1998 0.2588  4 O 1.55-1.57
14 P 0.2295 0.2002 0.7589  4 O 1.55-1.56
15 P 0.7269 0.3326 0.4822  4 O 1.56
16 P 0.7276 0.3327 0.9824  4 O 1.55-1.57
17 C 0.2280 0.6601 0.4865  3 O 1.25-1.33
18 C 0.2278 0.6601 0.9867  3 O 1.25-1.33
19 C 0.7262 0.8725 0.2545  3 O 1.25-1.33
20 C 0.7269 0.8727 0.7546  3 O 1.25-1.33
21 O 0.0357 0.1125 0.2326  1 P 1.55
22 O 0.0397 0.1140 0.7364  1 P 1.55
23 O 0.2203 0.2441 0.3926  1 P 1.57
24 O 0.2200 0.5712 0.8971  1 C 1.33
25 O 0.2201 0.5970 0.5895  1 C 1.32
26 O 0.2252 0.3278 0.1773  1 P 1.56
27 O 0.2275 0.3273 0.6765  1 P 1.56
28 O 0.2281 0.7865 0.4742  1 C 1.25
29 O 0.2277 0.7865 0.9741  1 C 1.25
30 O 0.2360 0.2458 0.8924  1 P 1.56
31 O 0.2358 0.5713 0.3968  1 C 1.33
32 O 0.2357 0.5975 0.0899  1 C 1.32
33 O 0.4122 0.1131 0.2354  1 P 1.56
34 O 0.4164 0.1122 0.7335  1 P 1.56
35 O 0.5392 0.4187 0.5093  1 P 1.56
36 O 0.5403 0.4201 0.0082  1 P 1.56
37 O 0.7172 0.9352 0.1514  1 C 1.32
38 O 0.7186 0.2869 0.3487  1 P 1.56
39 O 0.7221 0.2886 0.8485  1 P 1.57
40 O 0.7215 0.9359 0.6515  1 C 1.32
41 O 0.7262 0.7463 0.7668  1 C 1.25
42 O 0.7269 0.2046 0.0638  1 P 1.56
43 O 0.7282 0.7460 0.2670  1 C 1.25
44 O 0.7314 0.2056 0.5646  1 P 1.56
45 O 0.7332 0.9614 0.3441  1 C 1.33
46 O 0.7331 0.9614 0.8444  1 C 1.33
47 O 0.9158 0.4207 0.5029  1 P 1.56
48 O 0.9168 0.4190 0.0064  1 P 1.55

---

Li9Mn2Co5O16: optimized geometry, GGA+U.

Properties
ΔH_f (0 K) = -1.841 eV/atom
E above lowest polymorph = 0.538 kcal/mol of atoms
Density = 4.3 g/cm3

Unit cell a=5.9053 b=5.9116 c=8.5954 alpha=70.54 beta=87.97 gamma=86.71
Last column: nearest neighbours and their distance in Å.
Positions (direct):
1 Li 0.0000 0.0000 0.0000  6 O 2.04-2.18
2 Li 0.0008 0.2498 0.5010  6 O 2.02-2.15
3 Li 0.2448 0.6371 0.2433  6 O 2.09-2.21
4 Li 0.2469 0.1205 0.2443  6 O 2.09-2.22
5 Li 0.5003 0.4999 0.0001  6 O 2.04-2.18
6 Li 0.5015 0.0006 0.0000  6 O 2.10-2.36
7 Li 0.7549 0.3639 0.7582  6 O 2.09-2.22
8 Li 0.7561 0.8790 0.7554  6 O 2.08-2.23
9 Li 0.9991 0.7494 0.5017  4 O 2.00-2.13
10 Mn 0.0001 0.5005 0.9995  6 O 1.93-1.96
11 Mn 0.5012 0.2505 0.5011  6 O 1.92-1.96
12 Co 0.2423 0.3642 0.7529  5 O 1.90-2.07
13 Co 0.2478 0.8777 0.7520  4 O 1.86-1.99
14 Co 0.4996 0.7519 0.4990  4 O 1.89-1.97
15 Co 0.7559 0.1252 0.2499  4 O 1.88-1.96
16 Co 0.7581 0.6362 0.2457  5 O 1.90-2.05
17 O 0.0034 0.6001 0.7601  1 Co 1.94, 1 Mn 1.94, 3 Li 2.09-2.13
18 O 0.0198 0.1087 0.7489  2 Co 1.86-2.07, 2 Li 2.02-2.04
19 O 0.2283 0.7331 0.9860  1 Co 1.91, 1 Mn 1.95, 3 Li 2.04-2.10
20 O 0.2440 0.2694 0.9865  1 Co 1.90, 1 Mn 1.95, 2 Li 2.09-2.11
21 O 0.2604 0.4822 0.5117  1 Mn 1.94, 2 Co 1.96-2.16, 2 Li 2.13-2.14
22 O 0.2826 0.0106 0.5078  2 Co 1.96-1.99, 1 Mn 1.96, 2 Li 2.11-2.15
23 O 0.4819 0.6485 0.7314  2 Co 1.89-1.93
24 O 0.4954 0.1451 0.7406  1 Mn 1.94, 1 Co 1.94, 3 Li 2.10-2.11
25 O 0.5094 0.8540 0.2639  2 Co 1.91-1.93, 2 Li 2.12-2.13
26 O 0.5159 0.3559 0.2648  1 Mn 1.92, 1 Co 1.94
27 O 0.7197 0.4939 0.4902  1 Mn 1.96, 2 Co 1.97-2.00, 2 Li 2.12-2.18
28 O 0.7390 0.0162 0.4911  1 Mn 1.94, 2 Co 1.96-2.15, 3 Li 2.12-2.15
29 O 0.7561 0.7316 0.0121  1 Co 1.90, 1 Mn 1.95, 3 Li 2.08-2.12
30 O 0.7724 0.2647 0.0149  1 Co 1.91, 1 Mn 1.96, 3 Li 2.04-2.09
31 O 0.9806 0.8849 0.2563  2 Co 1.88-2.05, 2 Li 2.00-2.08
32 O 0.9964 0.4023 0.2367  1 Mn 1.93, 1 Co 1.93, 3 Li 2.09-2.15